# Na3MgScP2SO12, relaxed, DFT PBE
data_Na3MgScP2SO12
_cell_length_a 9.001
_cell_length_b 8.971
_cell_length_c 22.401
_cell_angle_alpha 90.05
_cell_angle_beta 90.00
_cell_angle_gamma 120.11
_space_group_name_H-M_alt 'P 1'
_space_group_IT_number 1
loop_
_space_group_symop_operation_xyz
'x,y,z'
loop_
_atom_site_label
_atom_site_type_symbol
_atom_site_fract_x
_atom_site_fract_y
_atom_site_fract_z
Mg1 Mg 0.325 0.662 0.017
Mg2 Mg 0.004 0.995 0.850
Mg3 Mg 0.991 0.995 0.350
Mg4 Mg 0.337 0.662 0.517
Mg5 Mg 0.670 0.328 0.183
Mg6 Mg 0.658 0.328 0.683
O1 O 0.025 0.204 0.199
O2 O 0.691 0.537 0.532
O3 O 0.354 0.864 0.579
O4 O 0.643 0.125 0.135
O5 O 0.878 0.361 0.640
O6 O 0.835 0.810 0.589
O7 O 0.817 0.028 0.807
O8 O 0.123 0.639 0.362
O9 O 0.177 0.198 0.412
O10 O 0.475 0.168 0.244
O11 O 0.845 0.327 0.246
O12 O 0.849 0.306 0.528
O13 O 0.846 0.537 0.032
O14 O 0.646 0.527 0.644
O15 O 0.358 0.471 0.360
O16 O 0.025 0.805 0.694
O17 O 0.360 0.502 0.077
O18 O 0.148 0.459 0.968
O19 O 0.021 0.198 0.912
O20 O 0.358 0.871 0.866
O21 O 0.809 0.835 0.910
O22 O 0.308 0.476 0.755
O23 O 0.643 0.504 0.922
O24 O 0.483 0.361 0.140
O25 O 0.482 0.327 0.746
O26 O 0.790 0.972 0.695
O27 O 0.529 0.679 0.255
O28 O 0.815 0.792 0.301
O29 O 0.484 0.346 0.422
O30 O 0.815 0.993 0.413
O31 O 0.979 0.194 0.311
O32 O 0.150 0.695 0.474
O33 O 0.148 0.660 0.080
O34 O 0.844 0.531 0.745
O35 O 0.548 0.860 0.477
O36 O 0.861 0.504 0.422
O37 O 0.113 0.471 0.860
O38 O 0.862 0.346 0.922
O39 O 0.310 0.459 0.468
O40 O 0.691 0.138 0.027
O41 O 0.168 0.476 0.255
O42 O 0.142 0.502 0.577
O43 O 0.512 0.660 0.580
O44 O 0.447 0.138 0.527
O45 O 0.178 0.993 0.913
O46 O 0.457 0.306 0.028
O47 O 0.214 0.194 0.811
O48 O 0.179 0.204 0.699
O49 O 0.780 0.805 0.194
O50 O 0.544 0.695 0.974
O51 O 0.527 0.837 0.755
O52 O 0.194 0.170 0.088
O53 O 0.687 0.531 0.245
O54 O 0.482 0.125 0.635
O55 O 0.211 0.028 0.307
O56 O 0.513 0.871 0.366
O57 O 0.502 0.143 0.922
O58 O 0.510 0.864 0.079
O59 O 0.516 0.639 0.862
O60 O 0.976 0.170 0.588
O61 O 0.027 0.835 0.410
O62 O 0.313 0.860 0.977
O63 O 0.641 0.143 0.422
O64 O 0.693 0.168 0.744
O65 O 0.151 0.679 0.755
O66 O 0.881 0.527 0.144
O67 O 0.818 0.013 0.089
O68 O 0.310 0.837 0.255
O69 O 0.975 0.810 0.089
O70 O 0.977 0.792 0.801
O71 O 0.195 0.013 0.589
O72 O 0.182 0.972 0.195
P1 P 0.965 0.338 0.585
P2 P 0.707 0.005 0.751
P3 P 0.330 0.962 0.920
P4 P 0.632 0.672 0.918
P5 P 0.040 0.672 0.418
P6 P 0.965 0.628 0.087
P7 P 0.664 0.628 0.587
P8 P 0.298 0.295 0.754
P9 P 0.631 0.962 0.420
P10 P 0.997 0.295 0.254
P11 P 0.298 0.005 0.251
P12 P 0.373 0.338 0.085
S1 S 0.334 0.372 0.416
S2 S 0.372 0.039 0.583
S3 S 0.667 0.039 0.083
S4 S 0.705 0.706 0.249
S5 S 0.038 0.372 0.916
S6 S 0.000 0.706 0.749
Sc1 Sc 0.335 0.680 0.316
Sc2 Sc 0.668 0.346 0.983
Sc3 Sc 0.345 0.680 0.816
Sc4 Sc 0.002 0.013 0.650
Sc5 Sc 0.011 0.013 0.150
Sc6 Sc 0.678 0.346 0.483
Na1 Na 0.024 0.689 0.580
Na2 Na 0.004 0.987 0.996
Na3 Na 0.358 0.355 0.247
Na4 Na 0.665 0.689 0.080
Na5 Na 0.965 0.297 0.412
Na6 Na 0.298 0.964 0.079
Na7 Na 0.316 0.654 0.163
Na8 Na 0.650 0.320 0.829
Na9 Na 0.999 0.631 0.246
Na10 Na 0.983 0.987 0.496
Na11 Na 0.632 0.631 0.746
Na12 Na 0.331 0.022 0.413
Na13 Na 0.671 0.320 0.329
Na14 Na 0.337 0.654 0.663
Na15 Na 0.666 0.964 0.579
Na16 Na 0.998 0.355 0.747
Na17 Na 0.332 0.297 0.912
Na18 Na 0.691 0.022 0.913
# E_form in meV per atom: -2767
# Mass density in g cm⁻³: 2.70

=====

# Na5Mg2Sc2P3S3O24, relaxed, DFT PBE
data_Na5Mg2Sc2P3S3O24
_cell_length_a 8.930
_cell_length_b 8.932
_cell_length_c 22.541
_cell_angle_alpha 89.72
_cell_angle_beta 89.82
_cell_angle_gamma 60.18
_space_group_name_H-M_alt 'P 1'
_space_group_IT_number 1
loop_
_space_group_symop_operation_xyz
'x,y,z'
loop_
_atom_site_label
_atom_site_type_symbol
_atom_site_fract_x
_atom_site_fract_y
_atom_site_fract_z
Na1 Na 0.000 0.000 0.000
Na2 Na 0.001 0.005 0.499
Na3 Na 0.304 0.373 0.834
Na4 Na 0.312 0.349 0.334
Na5 Na 0.322 0.996 0.086
Na6 Na 0.362 0.671 0.244
Na7 Na 0.620 0.033 0.252
Na8 Na 0.645 0.681 0.667
Na9 Na 0.651 0.328 0.416
Na10 Na 0.659 0.056 0.918
Na11 Na 0.665 0.692 0.167
Na12 Na 0.679 0.363 0.084
Na13 Na 0.696 0.005 0.577
Na14 Na 0.954 0.367 0.587
Na15 Na 0.984 0.662 0.750
Mg1 Mg 0.312 0.385 0.980
Mg2 Mg 0.323 0.368 0.481
Mg3 Mg 0.655 0.702 0.314
Mg4 Mg 0.666 0.684 0.813
Mg5 Mg 0.989 0.027 0.147
Mg6 Mg 0.989 0.034 0.647
Sc1 Sc 0.321 0.370 0.680
Sc2 Sc 0.329 0.360 0.180
Sc3 Sc 0.658 0.702 0.514
Sc4 Sc 0.664 0.703 0.014
Sc5 Sc 0.988 0.036 0.347
Sc6 Sc 0.996 0.037 0.848
P1 P 0.031 0.662 0.580
P2 P 0.284 0.031 0.245
P3 P 0.320 0.664 0.080
P4 P 0.619 0.363 0.578
P5 P 0.620 0.071 0.078
P6 P 0.652 0.999 0.412
P7 P 0.696 0.331 0.245
P8 P 0.956 0.696 0.909
P9 P 0.988 0.329 0.744
S1 S 0.031 0.363 0.079
S2 S 0.285 0.742 0.746
S3 S 0.321 0.072 0.579
S4 S 0.361 0.698 0.412
S5 S 0.364 0.992 0.913
S6 S 0.654 0.404 0.914
S7 S 0.693 0.032 0.747
S8 S 0.952 0.406 0.413
S9 S 0.988 0.737 0.247
O1 O 0.001 0.847 0.587
O2 O 0.009 0.214 0.799
O3 O 0.011 0.208 0.085
O4 O 0.019 0.817 0.300
O5 O 0.106 0.550 0.637
O6 O 0.108 0.391 0.133
O7 O 0.126 0.386 0.419
O8 O 0.134 0.536 0.917
O9 O 0.138 0.338 0.027
O10 O 0.140 0.569 0.526
O11 O 0.146 0.565 0.241
O12 O 0.152 0.352 0.742
O13 O 0.166 0.054 0.587
O14 O 0.167 0.850 0.085
O15 O 0.172 0.049 0.300
O16 O 0.174 0.821 0.799
O17 O 0.188 0.853 0.408
O18 O 0.189 0.012 0.909
O19 O 0.203 0.843 0.693
O20 O 0.204 0.002 0.189
O21 O 0.294 0.180 0.527
O22 O 0.298 0.567 0.742
O23 O 0.299 0.573 0.027
O24 O 0.307 0.193 0.242
O25 O 0.346 0.540 0.418
O26 O 0.349 0.555 0.138
O27 O 0.352 0.151 0.633
O28 O 0.352 0.164 0.918
O29 O 0.440 0.891 0.969
O30 O 0.449 0.718 0.465
O31 O 0.458 0.722 0.754
O32 O 0.466 0.673 0.358
O33 O 0.469 0.870 0.251
O34 O 0.474 0.903 0.862
O35 O 0.480 0.899 0.574
O36 O 0.492 0.675 0.075
O37 O 0.493 0.182 0.417
O38 O 0.503 0.376 0.918
O39 O 0.504 0.154 0.134
O40 O 0.505 0.385 0.633
O41 O 0.511 0.348 0.243
O42 O 0.521 0.188 0.742
O43 O 0.532 0.180 0.022
O44 O 0.541 0.333 0.522
O45 O 0.632 0.890 0.075
O46 O 0.633 0.512 0.862
O47 O 0.638 0.909 0.356
O48 O 0.643 0.525 0.574
O49 O 0.668 0.515 0.253
O50 O 0.673 0.890 0.469
O51 O 0.676 0.481 0.969
O52 O 0.676 0.875 0.753
O53 O 0.777 0.052 0.801
O54 O 0.778 0.215 0.301
O55 O 0.797 0.059 0.085
O56 O 0.799 0.245 0.189
O57 O 0.802 0.005 0.694
O58 O 0.803 0.202 0.585
O59 O 0.811 0.227 0.908
O60 O 0.817 0.020 0.409
O61 O 0.828 0.513 0.750
O62 O 0.832 0.720 0.254
O63 O 0.833 0.728 0.964
O64 O 0.844 0.680 0.575
O65 O 0.846 0.482 0.468
O66 O 0.852 0.516 0.074
O67 O 0.865 0.511 0.361
O68 O 0.869 0.680 0.853
O69 O 0.960 0.846 0.194
O70 O 0.964 0.232 0.409
O71 O 0.964 0.868 0.907
O72 O 0.971 0.245 0.687
# E_form in meV per atom: -2692
# Symmetry: P1 (1)
# Mass density in g cm⁻³: 2.64

=====

# Na7Mg2Sc2P5SO24, relaxed, DFT PBE
data_Na7Mg2Sc2P5SO24
_cell_length_a 9.017
_cell_length_b 9.028
_cell_length_c 22.367
_cell_angle_alpha 89.94
_cell_angle_beta 89.93
_cell_angle_gamma 60.07
_space_group_name_H-M_alt 'P 1'
_space_group_IT_number 1
loop_
_space_group_symop_operation_xyz
'x,y,z'
loop_
_atom_site_label
_atom_site_type_symbol
_atom_site_fract_x
_atom_site_fract_y
_atom_site_fract_z
Na1 Na 0.000 0.000 0.000
Na2 Na 0.000 0.263 0.502
Na3 Na 0.007 0.628 0.753
Na4 Na 0.026 0.297 0.834
Na5 Na 0.033 0.938 0.337
Na6 Na 0.304 0.294 0.334
Na7 Na 0.333 0.950 0.918
Na8 Na 0.333 0.967 0.419
Na9 Na 0.338 0.598 0.167
Na10 Na 0.368 0.264 0.005
Na11 Na 0.368 0.631 0.500
Na12 Na 0.631 0.002 0.503
Na13 Na 0.631 0.633 0.002
Na14 Na 0.662 0.294 0.584
Na15 Na 0.662 0.667 0.334
Na16 Na 0.667 0.929 0.832
Na17 Na 0.669 0.305 0.084
Na18 Na 0.686 0.968 0.169
Na19 Na 0.701 0.605 0.671
Na20 Na 0.966 0.971 0.668
Na21 Na 0.999 0.617 0.252
Mg1 Mg 0.333 0.976 0.569
Mg2 Mg 0.334 0.962 0.769
Mg3 Mg 0.338 0.970 0.269
Mg4 Mg 0.339 0.966 0.069
Mg5 Mg 0.668 0.299 0.435
Mg6 Mg 0.670 0.303 0.936
Sc1 Sc 0.000 0.632 0.403
Sc2 Sc 0.000 0.637 0.903
Sc3 Sc 0.001 0.626 0.603
Sc4 Sc 0.667 0.305 0.236
Sc5 Sc 0.673 0.294 0.736
Sc6 Sc 0.999 0.621 0.103
P1 P 0.002 0.333 0.001
P2 P 0.002 0.929 0.503
P3 P 0.044 0.258 0.670
P4 P 0.296 0.633 0.004
P5 P 0.298 0.336 0.502
P6 P 0.333 0.259 0.170
P7 P 0.372 0.597 0.337
P8 P 0.625 0.674 0.169
P9 P 0.625 0.967 0.669
P10 P 0.662 0.598 0.837
P11 P 0.666 0.006 0.337
P12 P 0.701 0.633 0.503
P13 P 0.703 0.931 0.003
P14 P 0.963 0.296 0.338
P15 P 0.966 0.004 0.837
S1 S 0.041 0.968 0.169
S2 S 0.334 0.675 0.669
S3 S 0.374 0.300 0.837
O1 O 0.014 0.444 0.665
O2 O 0.023 0.810 0.165
O3 O 0.029 0.815 0.447
O4 O 0.032 0.416 0.945
O5 O 0.119 0.148 0.614
O6 O 0.121 0.988 0.114
O7 O 0.141 0.991 0.830
O8 O 0.143 0.137 0.330
O9 O 0.145 0.942 0.223
O10 O 0.146 0.176 0.727
O11 O 0.162 0.155 0.008
O12 O 0.165 0.944 0.509
O13 O 0.177 0.658 0.664
O14 O 0.177 0.661 0.950
O15 O 0.179 0.447 0.165
O16 O 0.186 0.419 0.445
O17 O 0.191 0.613 0.341
O18 O 0.198 0.451 0.841
O19 O 0.207 0.456 0.555
O20 O 0.213 0.604 0.060
O21 O 0.307 0.783 0.721
O22 O 0.310 0.179 0.227
O23 O 0.312 0.795 0.009
O24 O 0.313 0.158 0.508
O25 O 0.348 0.778 0.329
O26 O 0.357 0.143 0.831
O27 O 0.361 0.152 0.113
O28 O 0.362 0.749 0.614
O29 O 0.453 0.483 0.280
O30 O 0.457 0.323 0.784
O31 O 0.474 0.470 0.997
O32 O 0.477 0.275 0.891
O33 O 0.477 0.319 0.497
O34 O 0.483 0.514 0.392
O35 O 0.489 0.502 0.675
O36 O 0.500 0.277 0.174
O37 O 0.507 0.984 0.331
O38 O 0.511 0.781 0.830
O39 O 0.515 0.753 0.113
O40 O 0.522 0.794 0.509
O41 O 0.525 0.945 0.008
O42 O 0.525 0.987 0.612
O43 O 0.544 0.782 0.226
O44 O 0.546 0.936 0.725
O45 O 0.640 0.116 0.392
O46 O 0.643 0.512 0.893
O47 O 0.644 0.492 0.175
O48 O 0.653 0.125 0.675
O49 O 0.685 0.110 0.996
O50 O 0.686 0.470 0.498
O51 O 0.691 0.484 0.780
O52 O 0.698 0.087 0.280
O53 O 0.787 0.662 0.447
O54 O 0.790 0.815 0.947
O55 O 0.805 0.661 0.164
O56 O 0.812 0.805 0.665
O57 O 0.816 0.604 0.558
O58 O 0.819 0.845 0.059
O59 O 0.830 0.824 0.341
O60 O 0.833 0.608 0.840
O61 O 0.839 0.107 0.498
O62 O 0.839 0.318 0.997
O63 O 0.844 0.329 0.283
O64 O 0.850 0.087 0.781
O65 O 0.856 0.283 0.675
O66 O 0.864 0.117 0.174
O67 O 0.879 0.114 0.893
O68 O 0.884 0.268 0.394
O69 O 0.971 0.453 0.055
O70 O 0.974 0.842 0.559
O71 O 0.977 0.825 0.841
O72 O 0.981 0.460 0.341
# E_form in meV per atom: -2838
# Symmetry: P1 (1)
# Mass density in g cm⁻³: 2.75

=====

Question: Look up the E_form of the third one.
Answer: -2838 meV per atom

=====

Question: Among the records above, which one has the lowest E_form?
Answer: Na7Mg2Sc2P5SO24

=====

Question: Which of these has the lowest mass density?
Answer: Na5Mg2Sc2P3S3O24

=====

Question: mass density of number 3 (Na7Mg2Sc2P5SO24)?
Answer: 2.75 g cm⁻³